No. 1
This record from the Materials Project describes crystalline Fe6BiP6O26 at its relaxed geometry. The functional is PBE with a Hubbard U.

* ρ: 3.8 g/cm3
* E (MP2020): -7.76 eV/atom
* DFT total energy: -6.95 eV per atom
* E_form: -2.225 eV per atom
* M_tot: 29.80 Bohr magnetons per cell

a b c (Å): 7.6638 6.4118 10.3496
angles (deg): 90.00 100.04 90.00
Closest atoms and distances in Å follow each position.
Positions (direct):
Fe1 0.0000 0.0000 0.0000  5 O 1.91-2.01
Fe2 0.1362 0.5000 0.6298  5 O 1.91-2.07
Fe3 0.4264 0.0000 0.2288  5 O 1.93-2.13
Fe4 0.5711 0.5000 0.8742  5 O 1.89-2.03
Fe5 0.7881 0.2545 0.4258  5 O 1.94-2.14
Fe6 0.7881 0.7455 0.4258  5 O 1.94-2.14
Bi1 0.4322 0.0000 0.6191  5 O 2.31-2.47
P1 0.9997 0.5000 0.9208  4 O 1.54-1.55
P2 0.0421 0.0000 0.6723  4 O 1.51-1.57
P3 0.0954 0.0000 0.3215  4 O 1.53-1.58
P4 0.4638 0.5000 0.5487  4 O 1.52-1.57
P5 0.5175 0.5000 0.1956  4 O 1.53-1.59
P6 0.5666 0.0000 0.9450  4 O 1.53-1.57
O1 0.0328 0.3044 0.0081  1 P 1.54
O2 0.0328 0.6956 0.0081  1 P 1.54
O3 0.1283 0.5000 0.8213  1 P 1.54
O4 0.1449 0.0000 0.1812  1 P 1.56
O5 0.1651 0.1850 0.6466  1 P 1.57
O6 0.1651 0.8150 0.6466  1 P 1.57
O7 0.2736 0.5000 0.4744  1 P 1.52
O8 0.2897 0.0000 0.4035  1 P 1.58
O9 0.4120 0.3063 0.2216  1 P 1.53
O10 0.4120 0.6937 0.2216  1 P 1.53
O11 0.4285 0.5000 0.6936  1 P 1.57
O12 0.4336 0.0000 0.0391  1 P 1.53
O13 0.5328 0.1892 0.8475  1 P 1.57
O14 0.5328 0.8108 0.8475  1 P 1.57
O15 0.5671 0.5000 0.0579  1 P 1.54
O16 0.5713 0.3000 0.5277  1 P 1.56
O17 0.5713 0.7000 0.5277  1 P 1.56
O18 0.6557 0.0000 0.3414  3 Fe 1.93-2.04
O19 0.6945 0.5000 0.3016  1 P 1.59
O20 0.7576 0.0000 0.0224  1 P 1.54
O21 0.8070 0.5000 0.8439  1 P 1.55
O22 0.8687 0.0000 0.5677  1 P 1.56
O23 0.9019 0.5000 0.5288  3 Fe 1.91-2.01
O24 0.9927 0.1974 0.3448  1 P 1.53
O25 0.9927 0.8026 0.3448  1 P 1.53
O26 0.9967 0.0000 0.8087  1 P 1.51

No. 2
This record from the Materials Project describes crystalline NaCo2BiO6 at its relaxed geometry. The functional is PBE with a Hubbard U.

* ρ: 6.3 g/cm3
* E (MP2020): -6.21 eV/atom
* DFT total energy: -5.47 eV per atom
* E_form: -1.294 eV per atom
* M_tot: 6.00 Bohr magnetons per cell

a b c (Å): 5.6329 5.6329 5.6329
angles (deg): 56.82 56.82 56.82
Closest atoms and distances in Å follow each position.
Positions (direct):
Na1 0.0000 0.0000 0.0000  6 O 2.31-2.48
Co1 0.2282 0.2282 0.2282  3 O 1.89
Co2 0.7280 0.7280 0.7280  6 O 1.99-2.13
Bi1 0.5156 0.5156 0.5156  6 O 2.13-2.20
O1 0.0945 0.8444 0.4556  2 Co 1.99-2.14, 1 Bi 2.13
O2 0.3820 0.5471 0.9478  1 Co 1.89
O3 0.4556 0.0945 0.8444  2 Co 1.99-2.14, 1 Bi 2.13
O4 0.5471 0.9478 0.3820  1 Co 1.89
O5 0.8444 0.4556 0.0945  2 Co 1.99-2.14, 1 Bi 2.13
O6 0.9478 0.3820 0.5471  1 Co 1.89

No. 3
This record from the Materials Project describes crystalline Al2W2O7 at its relaxed geometry. The functional is PBE with a Hubbard U.

* ρ: 6.8 g/cm3
* energy relative to the lowest polymorph listed for this composition: 0.0 meV per atom
* E (MP2020): -8.55 eV/atom
* DFT total energy: -7.30 eV per atom
* E_form: -2.362 eV per atom
* M_tot: 8.00 Bohr magnetons per cell

a b c (Å): 6.2942 7.0073 7.1855
angles (deg): 66.67 69.50 67.73
Closest atoms and distances in Å follow each position.
Positions (direct):
Al1 0.0000 0.0000 0.0000  5 O 1.84-2.05
Al2 0.0735 0.9587 0.5408  4 O 1.80-1.95
Al3 0.2282 0.3263 0.8534  5 O 1.80-1.97
Al4 0.6122 0.8982 0.9387  5 O 1.82-1.98
W1 0.1341 0.4784 0.3290  4 O 1.89-2.09
W2 0.5803 0.4573 0.4299  4 O 1.92-2.11
W3 0.5981 0.4746 0.9147  5 O 1.99-2.13
W4 0.6094 0.9407 0.4135  6 O 2.02-2.23
O1 0.2082 0.4604 0.5788  1 Al 1.85, 1 W 1.95
O2 0.2535 0.1407 0.4446  1 Al 1.80
O3 0.2661 0.4590 0.0147  1 Al 1.87, 1 W 1.99
O4 0.3044 0.0361 0.9310  3 Al 1.80-1.89
O5 0.3858 0.7570 0.4875  1 Al 1.95, 2 W 2.06-2.11
O6 0.5295 0.6422 0.1300  1 Al 1.91, 2 W 2.09-2.13
O7 0.5624 0.3257 0.7311  2 W 1.97-2.09, 1 Al 1.97
O8 0.6409 0.0514 0.1026  2 Al 1.97-2.05, 1 W 2.02
O9 0.6413 0.7643 0.7335  1 Al 1.97, 2 W 1.99-2.18
O10 0.7885 0.1066 0.4531  1 Al 1.89, 1 W 2.05
O11 0.8900 0.4566 0.2499  2 W 1.89-1.92
O12 0.9275 0.2956 0.9310  2 Al 1.84-1.85, 1 W 1.99
O13 0.9450 0.9037 0.8192  3 Al 1.82-1.98
O14 0.9872 0.8072 0.2683  1 Al 1.86, 1 W 2.06

No. 4
This record from the Materials Project describes crystalline Mn4FeO8 at its relaxed geometry. The functional is PBE with a Hubbard U.

* ρ: 4.3 g/cm3
* E (MP2020): -8.33 eV/atom
* DFT total energy: -7.22 eV per atom
* E_form: -1.814 eV per atom
* M_tot: 20.00 Bohr magnetons per cell

a b c (Å): 5.9363 5.9363 6.0968
angles (deg): 118.25 118.25 58.74
Closest atoms and distances in Å follow each position.
Positions (direct):
Mn1 0.0000 0.0000 0.0000  6 O 2.01-2.21
Mn2 0.0000 0.5000 0.0000  6 O 1.95
Mn3 0.5000 0.0000 0.0000  6 O 1.95
Mn4 0.5000 0.5000 0.5000  6 O 2.16-2.24
Fe1 0.5000 0.5000 0.0000  6 O 1.98
O1 0.2278 0.7204 0.1972  2 Mn 1.95-2.01, 1 Fe 1.98
O2 0.2542 0.2542 0.2154  3 Mn 1.95-2.16
O3 0.2724 0.2724 0.8101  2 Mn 1.95, 1 Fe 1.98
O4 0.2796 0.7722 0.8028  2 Mn 1.95-2.01, 1 Fe 1.98
O5 0.7204 0.2278 0.1972  2 Mn 1.95-2.01, 1 Fe 1.98
O6 0.7276 0.7276 0.1899  2 Mn 1.95, 1 Fe 1.98
O7 0.7458 0.7458 0.7846  3 Mn 1.95-2.16
O8 0.7722 0.2796 0.8028  2 Mn 1.95-2.01, 1 Fe 1.98

No. 5
This record from the Materials Project describes crystalline CaMnF5 at its relaxed geometry. The functional is PBE with a Hubbard U.

* ρ: 3.0 g/cm3
* energy relative to the lowest polymorph listed for this composition: 0.0 meV per atom
* E (MP2020): -6.37 eV/atom
* DFT total energy: -5.80 eV per atom
* E_form: -3.410 eV per atom

a b c (Å): 5.6024 5.6024 7.9698
angles (deg): 110.95 110.95 70.77
Closest atoms and distances in Å follow each position.
Positions (direct):
Ca1 0.0441 0.9559 0.7500  7 F 2.26-2.51
Ca2 0.9559 0.0441 0.2500  7 F 2.26-2.51
Mn1 0.5000 0.5000 0.0000  4 F 1.86-1.96
Mn2 0.5000 0.5000 0.5000  4 F 1.86-1.96
F1 0.1917 0.7872 0.0324  1 Mn 1.96
F2 0.2128 0.8083 0.4676  1 Mn 1.96
F3 0.2575 0.2907 0.3833  1 Mn 1.86
F4 0.2907 0.2575 0.8833  1 Mn 1.86
F5 0.4034 0.5966 0.7500  2 Mn 2.09, 1 Ca 2.33
F6 0.5966 0.4034 0.2500  2 Mn 2.09, 1 Ca 2.33
F7 0.7093 0.7425 0.1167  1 Mn 1.86
F8 0.7425 0.7093 0.6167  1 Mn 1.86
F9 0.7872 0.1917 0.5324  1 Mn 1.96
F10 0.8083 0.2128 0.9676  1 Mn 1.96

No. 6
This record from the Materials Project describes crystalline LiMn2P2HO8 at its relaxed geometry. The functional is PBE with a Hubbard U.

* ρ: 3.1 g/cm3
* E (MP2020): -7.72 eV/atom
* DFT total energy: -7.09 eV per atom
* E_form: -2.433 eV per atom
* M_tot: 0.00 Bohr magnetons per cell

a b c (Å): 5.0773 8.7152 7.7710
angles (deg): 90.00 105.15 90.00
Closest atoms and distances in Å follow each position.
Positions (direct):
Li1 0.2419 0.0000 0.2552  6 O 2.10-2.32
Li2 0.7581 0.5000 0.7448  6 O 2.10-2.32
Mn1 0.1274 0.3389 0.0870  4 O 2.06-2.16
Mn2 0.3644 0.6631 0.4243  4 O 2.05-2.21
Mn3 0.6356 0.1631 0.5757  4 O 2.05-2.21
Mn4 0.8726 0.8389 0.9130  4 O 2.06-2.16
P1 0.1239 0.3659 0.4737  4 O 1.54-1.59
P2 0.3854 0.6392 0.0235  4 O 1.53-1.63
P3 0.6146 0.1392 0.9765  4 O 1.53-1.63
P4 0.8761 0.8659 0.5263  4 O 1.54-1.59
H1 0.2699 0.0148 0.7547  1 O 1.08
H2 0.7301 0.5148 0.2453  1 O 1.08
O1 0.0029 0.9582 0.7062  1 H 1.40
O2 0.0944 0.8379 0.4248  1 P 1.54
O3 0.1573 0.5299 0.9267  1 P 1.54
O4 0.2375 0.2145 0.4143  1 P 1.56
O5 0.2637 0.7883 0.0785  1 P 1.55
O6 0.3615 0.4658 0.5811  1 P 1.54
O7 0.3951 0.1646 0.0760  1 P 1.53
O8 0.4770 0.0565 0.7864  1 H 1.08
O9 0.5230 0.5565 0.2136  1 H 1.08
O10 0.6049 0.6646 0.9240  1 P 1.53
O11 0.6385 0.9658 0.4189  1 P 1.54
O12 0.7363 0.2883 0.9215  1 P 1.55
O13 0.7625 0.7145 0.5857  1 P 1.56
O14 0.8427 0.0299 0.0733  1 P 1.54
O15 0.9056 0.3379 0.5752  1 P 1.54
O16 0.9971 0.4582 0.2938  1 H 1.40

No. 7
This record from the Materials Project describes crystalline CrH10N2Cl5O at its relaxed geometry. The functional is PBE with a Hubbard U.

* ρ: 1.9 g/cm3
* E (MP2020): -4.75 eV/atom
* DFT total energy: -4.61 eV per atom
* E_form: -0.830 eV per atom
* M_tot: 12.00 Bohr magnetons per cell

a b c (Å): 14.0479 9.9162 7.2229
angles (deg): 90.00 90.00 90.00
Closest atoms and distances in Å follow each position.
Positions (direct):
Cr1 0.1119 0.2500 0.1918  1 O 2.05
Cr2 0.3881 0.7500 0.6918  1 O 2.05
Cr3 0.6119 0.2500 0.3082  1 O 2.05
Cr4 0.8881 0.7500 0.8082  1 O 2.05
H1 0.0306 0.6685 0.0394  1 O 0.98
H2 0.0306 0.8315 0.0394  1 O 0.98
H3 0.0685 0.5183 0.6697  1 N 1.04
H4 0.0685 0.9817 0.6697  1 N 1.04
H5 0.1551 0.0636 0.5531  1 N 1.03
H6 0.1551 0.4364 0.5531  1 N 1.03
H7 0.1634 0.0476 0.7836  1 N 1.04
H8 0.1634 0.4524 0.7836  1 N 1.04
H9 0.1767 0.5894 0.6467  1 N 1.03
H10 0.1767 0.9106 0.6467  1 N 1.03
H11 0.3233 0.0894 0.1467  1 N 1.03
H12 0.3233 0.4106 0.1467  1 N 1.03
H13 0.3366 0.5476 0.2836  1 N 1.04
H14 0.3366 0.9524 0.2836  1 N 1.04
H15 0.3449 0.5636 0.0531  1 N 1.03
H16 0.3449 0.9364 0.0531  1 N 1.03
H17 0.4315 0.0183 0.1697  1 N 1.04
H18 0.4315 0.4817 0.1697  1 N 1.04
H19 0.4694 0.1685 0.5394  1 O 0.98
H20 0.4694 0.3315 0.5394  1 O 0.98
H21 0.5306 0.6685 0.4606  1 O 0.98
H22 0.5306 0.8315 0.4606  1 O 0.98
H23 0.5685 0.5183 0.8303  1 N 1.04
H24 0.5685 0.9817 0.8303  1 N 1.04
H25 0.6551 0.0636 0.9469  1 N 1.03
H26 0.6551 0.4364 0.9469  1 N 1.03
H27 0.6634 0.0476 0.7164  1 N 1.04
H28 0.6634 0.4524 0.7164  1 N 1.04
H29 0.6767 0.5894 0.8533  1 N 1.03
H30 0.6767 0.9106 0.8533  1 N 1.03
H31 0.8233 0.0894 0.3533  1 N 1.03
H32 0.8233 0.4106 0.3533  1 N 1.03
H33 0.8366 0.5476 0.2164  1 N 1.04
H34 0.8366 0.9524 0.2164  1 N 1.04
H35 0.8449 0.5636 0.4469  1 N 1.03
H36 0.8449 0.9364 0.4469  1 N 1.03
H37 0.9315 0.0183 0.3303  1 N 1.04
H38 0.9315 0.4817 0.3303  1 N 1.04
H39 0.9694 0.1685 0.9606  1 O 0.98
H40 0.9694 0.3315 0.9606  1 O 0.98
N1 0.1410 0.0005 0.6632  4 H 1.03-1.04
N2 0.1410 0.4995 0.6632  4 H 1.03-1.04
N3 0.3590 0.5005 0.1632  4 H 1.03-1.04
N4 0.3590 0.9995 0.1632  4 H 1.03-1.04
N5 0.6410 0.0005 0.8368  4 H 1.03-1.04
N6 0.6410 0.4995 0.8368  4 H 1.03-1.04
N7 0.8590 0.5005 0.3368  4 H 1.03-1.04
N8 0.8590 0.9995 0.3368  4 H 1.03-1.04
Cl1 0.0082 0.2500 0.4506  1 Cr 2.37
Cl2 0.1044 0.0104 0.1805  1 H 2.29, 1 Cr 2.38
Cl3 0.1044 0.4896 0.1805  1 H 2.29, 1 Cr 2.38
Cl4 0.2182 0.2500 0.9341  1 Cr 2.39, 4 H 2.41-2.66
Cl5 0.2438 0.2500 0.3929  1 Cr 2.35, 4 H 2.51-2.63
Cl6 0.2562 0.7500 0.8929  1 Cr 2.35, 4 H 2.51-2.63
Cl7 0.2818 0.7500 0.4341  1 Cr 2.39, 4 H 2.41-2.66
Cl8 0.3956 0.5104 0.6805  1 H 2.29, 1 Cr 2.38
Cl9 0.3956 0.9896 0.6805  1 H 2.29, 1 Cr 2.38
Cl10 0.4918 0.7500 0.9506  1 Cr 2.37
Cl11 0.5082 0.2500 0.0494  1 Cr 2.37
Cl12 0.6044 0.0104 0.3195  1 H 2.29, 1 Cr 2.38
Cl13 0.6044 0.4896 0.3195  1 H 2.29, 1 Cr 2.38
Cl14 0.7182 0.2500 0.5659  1 Cr 2.39, 4 H 2.41-2.66
Cl15 0.7438 0.2500 0.1071  1 Cr 2.35, 4 H 2.51-2.63
Cl16 0.7562 0.7500 0.6071  1 Cr 2.35, 4 H 2.51-2.63
Cl17 0.7818 0.7500 0.0659  1 Cr 2.39, 4 H 2.41-2.66
Cl18 0.8956 0.5104 0.8195  1 H 2.29, 1 Cr 2.38
Cl19 0.8956 0.9896 0.8195  1 H 2.29, 1 Cr 2.38
Cl20 0.9918 0.7500 0.5494  1 Cr 2.37
O1 0.0034 0.7500 0.9829  2 H 0.98
O2 0.4966 0.2500 0.4829  2 H 0.98
O3 0.5034 0.7500 0.5171  2 H 0.98
O4 0.9966 0.2500 0.0171  2 H 0.98

No. 8
This record from the Materials Project describes crystalline Li2CrP4O12 at its relaxed geometry. The functional is PBE with a Hubbard U.

* ρ: 2.3 g/cm3
* energy relative to the lowest polymorph listed for this composition: 41.1 meV per atom
* E (MP2020): -7.55 eV/atom
* DFT total energy: -7.01 eV per atom
* E_form: -2.573 eV per atom
* M_tot: 16.00 Bohr magnetons per cell

a b c (Å): 7.9355 11.1517 12.5760
angles (deg): 90.00 98.40 90.00
Closest atoms and distances in Å follow each position.
Positions (direct):
Li1 0.0434 0.1242 0.2830  3 O 2.00-2.06
Li2 0.0434 0.3758 0.7830  3 O 2.00-2.06
Li3 0.0860 0.0389 0.9286  3 O 1.96-2.07
Li4 0.0860 0.4611 0.4286  3 O 1.96-2.07
Li5 0.9140 0.5389 0.5714  3 O 1.96-2.07
Li6 0.9140 0.9611 0.0714  3 O 1.96-2.07
Li7 0.9566 0.6242 0.2170  3 O 2.00-2.06
Li8 0.9566 0.8758 0.7170  3 O 2.00-2.06
Cr1 0.4778 0.7394 0.1820  4 O 2.01-2.10
Cr2 0.4778 0.7606 0.6820  4 O 2.01-2.10
Cr3 0.5222 0.2394 0.3180  4 O 2.01-2.10
Cr4 0.5222 0.2606 0.8180  4 O 2.01-2.10
P1 0.0738 0.7351 0.9889  4 O 1.49-1.62
P2 0.0738 0.7649 0.4889  4 O 1.49-1.62
P3 0.1319 0.1223 0.7088  4 O 1.51-1.61
P4 0.1319 0.3777 0.2088  4 O 1.51-1.61
P5 0.4352 0.7398 0.4324  4 O 1.50-1.61
P6 0.4352 0.7602 0.9324  4 O 1.50-1.61
P7 0.4789 0.0433 0.6747  4 O 1.49-1.61
P8 0.4789 0.4567 0.1747  4 O 1.49-1.61
P9 0.5211 0.5433 0.8253  4 O 1.49-1.61
P10 0.5211 0.9567 0.3253  4 O 1.49-1.61
P11 0.5648 0.2398 0.0676  4 O 1.50-1.61
P12 0.5648 0.2602 0.5676  4 O 1.50-1.61
P13 0.8681 0.6223 0.7912  4 O 1.51-1.61
P14 0.8681 0.8777 0.2912  4 O 1.51-1.61
P15 0.9262 0.2351 0.5111  4 O 1.49-1.62
P16 0.9262 0.2649 0.0111  4 O 1.49-1.62
O1 0.0233 0.0462 0.7719  1 P 1.51
O2 0.0233 0.4538 0.2719  1 P 1.51
O3 0.0228 0.6352 0.4630  1 P 1.52
O4 0.0228 0.8648 0.9630  1 P 1.52
O5 0.0428 0.1394 0.5861  2 P 1.61-1.62
O6 0.0428 0.3606 0.0861  2 P 1.61-1.62
O7 0.0783 0.6936 0.1023  1 P 1.49
O8 0.0783 0.8064 0.6023  1 P 1.49
O9 0.1977 0.2413 0.7538  1 P 1.51
O10 0.1977 0.2587 0.2538  1 P 1.51
O11 0.2501 0.7067 0.9443  2 P 1.61
O12 0.2501 0.7933 0.4443  2 P 1.61
O13 0.2831 0.0318 0.6908  2 P 1.60-1.61
O14 0.2831 0.4682 0.1908  2 P 1.60-1.61
O15 0.4142 0.5950 0.7273  1 P 1.51
O16 0.4142 0.9050 0.2273  1 P 1.51
O17 0.4262 0.6708 0.3291  1 P 1.50
O18 0.4262 0.8292 0.8291  1 P 1.50
O19 0.4611 0.1377 0.5769  2 P 1.61
O20 0.4611 0.3623 0.0769  2 P 1.61
O21 0.4652 0.0738 0.3648  1 P 1.49
O22 0.4652 0.4262 0.8648  1 P 1.49
O23 0.4885 0.1811 0.9642  1 P 1.50
O24 0.4885 0.3189 0.4642  1 P 1.50
O25 0.5115 0.6811 0.5358  1 P 1.50
O26 0.5115 0.8189 0.0358  1 P 1.50
O27 0.5348 0.5738 0.1352  1 P 1.49
O28 0.5348 0.9262 0.6352  1 P 1.49
O29 0.5389 0.6377 0.9231  2 P 1.61
O30 0.5389 0.8623 0.4231  2 P 1.61
O31 0.5738 0.1708 0.1709  1 P 1.50
O32 0.5738 0.3292 0.6709  1 P 1.50
O33 0.5858 0.0950 0.7727  1 P 1.51
O34 0.5858 0.4050 0.2727  1 P 1.51
O35 0.7169 0.5318 0.8092  2 P 1.60-1.61
O36 0.7169 0.9682 0.3092  2 P 1.60-1.61
O37 0.7499 0.2067 0.5557  2 P 1.61
O38 0.7499 0.2933 0.0557  2 P 1.61
O39 0.8023 0.7413 0.7462  1 P 1.51
O40 0.8023 0.7587 0.2462  1 P 1.51
O41 0.9217 0.1936 0.3977  1 P 1.49
O42 0.9217 0.3064 0.8977  1 P 1.49
O43 0.9572 0.6394 0.9139  2 P 1.61-1.62
O44 0.9572 0.8606 0.4139  2 P 1.61-1.62
O45 0.9772 0.1352 0.0370  1 P 1.52
O46 0.9772 0.3648 0.5370  1 P 1.52
O47 0.9767 0.5462 0.7281  1 P 1.51
O48 0.9767 0.9538 0.2281  1 P 1.51